1.
This record from the Materials Project describes a relaxed structure of Na2MgTiP2SO12. The functional is PBE-GGA.

Cell and atoms, written as POSCAR:
```
Na2MgTiP2SO12
1.0
-4.000 -3.569 6.933
5.518 -4.788 -4.821
16.655 6.512 12.961
O Na S P Mg Ti
72 12 6 12 6 6
Direct
0.024 0.190 0.198
0.166 0.190 0.698
0.836 0.030 0.087
0.126 0.635 0.359
0.691 0.523 0.531
0.512 0.146 0.922
0.516 0.868 0.077
0.459 0.301 0.025
0.012 0.825 0.410
0.842 0.301 0.525
0.351 0.868 0.577
0.792 0.820 0.195
0.478 0.126 0.637
0.832 0.523 0.031
0.357 0.856 0.865
0.845 0.813 0.589
0.813 0.825 0.910
0.647 0.526 0.645
0.509 0.635 0.859
0.516 0.661 0.578
0.812 0.793 0.304
0.485 0.352 0.139
0.879 0.526 0.145
0.125 0.487 0.861
0.302 0.825 0.256
0.479 0.158 0.244
0.648 0.126 0.137
0.546 0.860 0.478
0.679 0.158 0.744
0.152 0.686 0.473
0.183 0.201 0.411
0.194 0.030 0.587
0.362 0.487 0.361
0.028 0.820 0.695
0.183 0.995 0.912
0.314 0.860 0.978
0.175 0.968 0.192
0.528 0.697 0.254
0.819 0.019 0.806
0.145 0.460 0.971
0.534 0.686 0.973
0.478 0.328 0.745
0.635 0.146 0.422
0.178 0.479 0.256
0.867 0.352 0.639
0.850 0.328 0.245
0.850 0.534 0.744
0.018 0.201 0.911
0.861 0.363 0.921
0.345 0.491 0.077
0.635 0.492 0.922
0.301 0.479 0.756
0.968 0.813 0.089
0.315 0.460 0.471
0.502 0.363 0.421
0.200 0.019 0.306
0.981 0.793 0.804
0.499 0.856 0.365
0.968 0.159 0.589
0.169 0.697 0.754
0.695 0.153 0.028
0.524 0.825 0.756
0.458 0.153 0.528
0.793 0.968 0.692
0.857 0.492 0.422
0.213 0.193 0.812
0.146 0.491 0.577
0.190 0.159 0.089
0.684 0.534 0.244
0.812 0.995 0.412
0.980 0.193 0.312
0.145 0.661 0.078
0.673 0.311 0.829
0.305 0.644 0.662
0.660 0.967 0.578
0.993 0.634 0.245
0.971 0.978 0.996
0.340 0.644 0.162
0.327 0.300 0.911
0.307 0.967 0.078
0.640 0.634 0.745
0.638 0.311 0.329
0.973 0.300 0.411
0.006 0.978 0.496
0.673 0.045 0.083
0.039 0.379 0.916
0.705 0.712 0.250
0.372 0.045 0.583
0.340 0.379 0.416
0.007 0.712 0.750
0.003 0.294 0.254
0.670 0.627 0.588
0.710 0.005 0.752
0.624 0.961 0.421
0.295 0.005 0.252
0.336 0.961 0.921
0.376 0.338 0.085
0.629 0.672 0.918
0.043 0.672 0.418
0.958 0.627 0.088
0.291 0.294 0.754
0.962 0.338 0.585
0.332 0.664 0.519
0.665 0.331 0.186
0.999 0.997 0.852
0.665 0.331 0.686
0.332 0.664 0.019
0.999 0.997 0.352
0.332 0.678 0.314
0.679 0.344 0.481
0.346 0.678 0.814
0.999 0.011 0.647
0.665 0.344 0.981
0.013 0.011 0.147
```

Calculated formation energy: -2711 meV per atom
VASP energy: -6.829 eV/atom

=====

2.
This record from the Materials Project describes a relaxed structure of MgTi2Zn2P2O10. The functional is PBE-GGA.

Cell and atoms, written as POSCAR:
```
MgTi2Zn2P2O10
1.0
3.728 0.078 4.310
-3.215 6.788 0.104
0.184 0.209 8.497
O Zn Ti P Mg
10 2 2 2 1
Direct
0.769 0.353 0.858
0.901 0.873 0.901
0.768 0.217 0.580
0.401 0.428 0.808
0.527 0.566 0.245
0.130 0.091 0.089
0.557 0.736 0.491
0.162 0.633 0.198
0.465 0.230 0.437
0.300 0.847 0.367
0.736 0.825 0.637
0.390 0.280 0.253
0.497 0.994 0.511
0.423 0.463 0.553
0.520 0.275 0.829
0.460 0.728 0.178
0.065 0.815 0.081
```

Calculated formation energy: -2433 meV per atom
VASP energy: -6.747 eV/atom

=====

3.
This record from the Materials Project describes a relaxed structure of Tm2IrOs. The functional is PBE-GGA.

Cell and atoms, written as POSCAR:
```
Tm2IrOs
1.0
0.000 3.372 3.372
3.372 0.000 3.372
3.372 3.372 0.000
Tm Ir Os
2 1 1
Direct
0.750 0.750 0.750
0.250 0.250 0.250
0.500 0.500 0.500
0.000 0.000 0.000
```

Calculated formation energy: -566 meV per atom
VASP energy: -7.821 eV/atom

=====

4.
This record from the Materials Project describes a relaxed structure of LaTiNbO6. The functional is PBE-GGA.

Cell and atoms, written as POSCAR:
```
LaTiNbO6
1.0
-3.208 0.083 -4.445
-0.207 -7.645 0.006
-9.047 0.251 6.533
O La Ti Nb
24 4 4 4
Direct
0.463 0.752 0.357
0.623 0.552 0.789
0.268 0.466 0.473
0.377 0.052 0.211
0.768 0.966 0.027
0.123 0.052 0.711
0.963 0.252 0.143
0.130 0.447 0.708
0.370 0.447 0.208
0.769 0.534 0.029
0.732 0.966 0.527
0.877 0.552 0.289
0.231 0.034 0.971
0.149 0.747 0.123
0.232 0.466 0.973
0.037 0.752 0.857
0.870 0.947 0.292
0.630 0.947 0.792
0.851 0.247 0.877
0.731 0.534 0.529
0.351 0.747 0.623
0.649 0.247 0.377
0.269 0.034 0.471
0.537 0.252 0.643
0.956 0.250 0.541
0.456 0.750 0.959
0.544 0.250 0.041
0.044 0.750 0.459
0.470 0.507 0.642
0.530 0.007 0.358
0.030 0.507 0.142
0.970 0.007 0.858
0.964 0.494 0.854
0.036 0.994 0.146
0.536 0.494 0.354
0.464 0.994 0.646
```

Calculated formation energy: -3529 meV per atom
VASP energy: -8.918 eV/atom

=====

5.
This record from the Materials Project describes a relaxed structure of TlN. The functional is PBE-GGA.

Cell and atoms, written as POSCAR:
```
TlN
1.0
3.160 0.000 0.000
0.000 3.160 0.000
0.000 0.000 3.160
Tl N
1 1
Direct
0.000 0.000 0.000
0.500 0.500 0.500
```

Calculated formation energy: 1612 meV per atom
VASP energy: -3.557 eV/atom

=====

6.
This record from the Materials Project describes a relaxed structure of NdSeO. The functional is PBE-GGA.

Cell and atoms, written as POSCAR:
```
NdSeO
1.0
4.172 1.572 5.877
-4.424 -5.702 -1.530
4.614 -2.909 -2.497
Nd Se O
4 4 4
Direct
0.332 0.668 0.000
0.168 0.832 0.500
0.832 0.168 0.500
0.668 0.332 0.000
0.857 0.857 0.856
0.143 0.143 0.144
0.643 0.643 0.356
0.357 0.357 0.644
0.505 0.005 0.250
0.495 0.995 0.750
0.005 0.505 0.250
0.995 0.495 0.750
```

Calculated formation energy: -2717 meV per atom
VASP energy: -6.892 eV/atom

=====

Q: Among the records above, which one has the highest calculated formation energy?
A: TlN